Record 1
A plane-wave DFT calculation with GGA+U was carried out for a relaxed Mn3VP6O24 crystal.

a b c (Å): 8.681 8.681 8.681
angles (deg): 58.26 58.26 58.26
Positions (direct):
Mn 0.856 0.856 0.856
Mn 0.643 0.643 0.643
Mn 0.356 0.356 0.356
V 0.140 0.140 0.140
P 0.965 0.250 0.536
P 0.536 0.965 0.250
P 0.250 0.536 0.965
P 0.745 0.469 0.034
P 0.469 0.034 0.745
P 0.034 0.745 0.469
O 0.858 0.729 0.486
O 0.729 0.486 0.858
O 0.940 0.074 0.721
O 0.486 0.858 0.729
O 0.780 0.427 0.556
O 0.997 0.220 0.359
O 0.721 0.940 0.074
O 0.556 0.780 0.427
O 0.427 0.556 0.780
O 0.773 0.641 0.012
O 0.927 0.285 0.063
O 0.641 0.012 0.773
O 0.359 0.997 0.220
O 0.074 0.721 0.940
O 0.220 0.359 0.997
O 0.573 0.441 0.220
O 0.441 0.220 0.573
O 0.285 0.063 0.927
O 0.012 0.773 0.641
O 0.220 0.573 0.441
O 0.513 0.139 0.274
O 0.063 0.927 0.285
O 0.274 0.513 0.139
O 0.139 0.274 0.513

Uncorrected energy ... -7.150 eV/atom
Symmetry ... R3 (146)

---

Record 2
A plane-wave DFT calculation with GGA+U was carried out for a relaxed MnV2P3O12 crystal.

a b c (Å): 8.639 8.639 8.639
angles (deg): 59.99 59.99 59.99
Positions (direct):
Mn 0.000 0.000 0.000
Mn 0.500 0.500 0.500
V 0.856 0.856 0.856
V 0.644 0.644 0.644
V 0.356 0.356 0.356
V 0.144 0.144 0.144
P 0.541 0.959 0.250
P 0.250 0.541 0.959
P 0.959 0.250 0.541
P 0.041 0.750 0.459
P 0.750 0.459 0.041
P 0.459 0.041 0.750
O 0.495 0.882 0.692
O 0.882 0.692 0.495
O 0.736 0.941 0.086
O 0.692 0.495 0.882
O 0.382 0.995 0.192
O 0.559 0.764 0.414
O 0.086 0.736 0.941
O 0.414 0.559 0.764
O 0.005 0.808 0.618
O 0.764 0.414 0.559
O 0.059 0.914 0.264
O 0.808 0.618 0.005
O 0.192 0.382 0.995
O 0.941 0.086 0.736
O 0.236 0.586 0.441
O 0.995 0.192 0.382
O 0.586 0.441 0.236
O 0.914 0.264 0.059
O 0.441 0.236 0.586
O 0.618 0.005 0.808
O 0.308 0.505 0.118
O 0.264 0.059 0.914
O 0.118 0.308 0.505
O 0.505 0.118 0.308

Uncorrected energy ... -7.598 eV/atom
Symmetry ... R-3c (167)

---

Record 3
A plane-wave DFT calculation with GGA+U was carried out for a relaxed MnV5P6O24 crystal.

a b c (Å): 8.592 8.592 8.592
angles (deg): 60.54 60.54 60.54
Positions (direct):
Mn 0.855 0.855 0.855
V 0.999 0.999 0.999
V 0.355 0.355 0.355
V 0.499 0.499 0.499
V 0.144 0.144 0.144
V 0.645 0.645 0.645
P 0.751 0.046 0.452
P 0.046 0.452 0.751
P 0.452 0.751 0.046
P 0.541 0.255 0.958
P 0.958 0.541 0.255
P 0.255 0.958 0.541
O 0.881 0.495 0.692
O 0.495 0.692 0.881
O 0.692 0.881 0.495
O 0.912 0.061 0.254
O 0.809 0.023 0.602
O 0.585 0.241 0.428
O 0.061 0.254 0.912
O 0.241 0.428 0.585
O 0.382 0.191 0.996
O 0.428 0.585 0.241
O 0.734 0.099 0.951
O 0.996 0.382 0.191
O 0.023 0.602 0.809
O 0.254 0.912 0.061
O 0.554 0.419 0.762
O 0.602 0.809 0.023
O 0.762 0.554 0.419
O 0.951 0.734 0.099
O 0.419 0.762 0.554
O 0.191 0.996 0.382
O 0.099 0.951 0.734
O 0.329 0.114 0.489
O 0.489 0.329 0.114
O 0.114 0.489 0.329

Uncorrected energy ... -7.559 eV/atom
Symmetry ... R3 (146)

---

Record 4
A plane-wave DFT calculation with GGA+U was carried out for a relaxed Mn7VP12O48 crystal.

a b c (Å): 8.450 8.479 11.781
angles (deg): 90.06 90.03 90.04
Positions (direct):
Mn 0.966 0.250 0.381
Mn 0.534 0.251 0.619
Mn 0.035 0.250 0.882
Mn 0.466 0.250 0.118
Mn 0.535 0.750 0.881
Mn 0.966 0.750 0.118
Mn 0.034 0.750 0.618
V 0.469 0.750 0.378
P 0.248 0.037 0.501
P 0.391 0.106 0.855
P 0.109 0.107 0.145
P 0.609 0.389 0.355
P 0.892 0.393 0.645
P 0.750 0.464 0.000
P 0.250 0.537 0.000
P 0.392 0.606 0.646
P 0.105 0.605 0.355
P 0.611 0.896 0.142
P 0.892 0.894 0.855
P 0.753 0.965 0.501
O 0.644 0.062 0.578
O 0.858 0.059 0.420
O 0.901 0.075 0.840
O 0.601 0.076 0.158
O 0.159 0.145 0.417
O 0.341 0.146 0.581
O 0.439 0.159 0.973
O 0.061 0.159 0.026
O 0.221 0.151 0.824
O 0.279 0.151 0.176
O 0.514 0.179 0.772
O 0.986 0.180 0.227
O 0.014 0.321 0.727
O 0.486 0.318 0.273
O 0.781 0.352 0.324
O 0.721 0.349 0.676
O 0.563 0.340 0.474
O 0.939 0.340 0.526
O 0.841 0.353 0.918
O 0.659 0.355 0.082
O 0.101 0.424 0.340
O 0.399 0.424 0.658
O 0.141 0.441 0.923
O 0.359 0.441 0.077
O 0.641 0.560 0.922
O 0.860 0.560 0.077
O 0.591 0.573 0.344
O 0.901 0.575 0.660
O 0.341 0.646 0.917
O 0.160 0.647 0.082
O 0.059 0.657 0.474
O 0.439 0.663 0.526
O 0.222 0.652 0.675
O 0.279 0.653 0.330
O 0.514 0.680 0.727
O 0.987 0.682 0.273
O 0.014 0.820 0.773
O 0.493 0.822 0.231
O 0.721 0.849 0.824
O 0.779 0.848 0.175
O 0.559 0.839 0.026
O 0.939 0.842 0.974
O 0.652 0.856 0.423
O 0.841 0.853 0.582
O 0.100 0.925 0.159
O 0.400 0.925 0.840
O 0.139 0.942 0.578
O 0.354 0.933 0.425

Uncorrected energy ... -7.090 eV/atom
Symmetry ... P1 (1)

---

Record 5
A plane-wave DFT calculation with GGA+U was carried out for a relaxed Mn7P12WO48 crystal.

a b c (Å): 8.500 8.516 11.847
angles (deg): 89.96 89.93 89.95
Positions (direct):
Mn 0.032 0.249 0.619
Mn 0.465 0.251 0.381
Mn 0.965 0.250 0.118
Mn 0.535 0.250 0.883
Mn 0.465 0.751 0.120
Mn 0.034 0.750 0.884
Mn 0.967 0.749 0.381
P 0.756 0.043 0.496
P 0.608 0.107 0.146
P 0.892 0.107 0.855
P 0.391 0.383 0.646
P 0.108 0.392 0.355
P 0.250 0.464 0.001
P 0.750 0.537 0.000
P 0.609 0.604 0.349
P 0.902 0.604 0.646
P 0.387 0.899 0.861
P 0.108 0.893 0.146
P 0.243 0.968 0.496
W 0.532 0.750 0.621
O 0.356 0.062 0.423
O 0.139 0.059 0.578
O 0.099 0.075 0.159
O 0.399 0.077 0.844
O 0.841 0.147 0.583
O 0.656 0.144 0.418
O 0.562 0.159 0.027
O 0.939 0.159 0.974
O 0.778 0.153 0.176
O 0.721 0.153 0.824
O 0.486 0.180 0.227
O 0.013 0.179 0.772
O 0.986 0.320 0.272
O 0.513 0.317 0.728
O 0.220 0.347 0.677
O 0.278 0.347 0.323
O 0.436 0.340 0.526
O 0.061 0.340 0.474
O 0.159 0.353 0.082
O 0.342 0.356 0.919
O 0.901 0.424 0.660
O 0.602 0.424 0.344
O 0.860 0.441 0.077
O 0.641 0.441 0.923
O 0.359 0.560 0.077
O 0.140 0.560 0.923
O 0.408 0.569 0.656
O 0.100 0.574 0.341
O 0.658 0.646 0.082
O 0.840 0.647 0.918
O 0.940 0.658 0.527
O 0.562 0.662 0.472
O 0.778 0.654 0.324
O 0.726 0.653 0.671
O 0.485 0.680 0.272
O 0.015 0.684 0.728
O 0.986 0.819 0.228
O 0.506 0.824 0.772
O 0.278 0.847 0.177
O 0.222 0.847 0.826
O 0.440 0.840 0.975
O 0.062 0.842 0.027
O 0.345 0.858 0.576
O 0.158 0.853 0.418
O 0.899 0.925 0.842
O 0.599 0.926 0.159
O 0.862 0.941 0.423
O 0.648 0.935 0.573

Uncorrected energy ... -7.125 eV/atom
Symmetry ... P1 (1)

---

Record 6
A plane-wave DFT calculation with GGA+U was carried out for a relaxed MnP6W3O24 crystal.

a b c (Å): 8.984 8.984 8.984
angles (deg): 58.83 58.83 58.83
Positions (direct):
Mn 0.139 0.139 0.139
P 0.536 0.963 0.248
P 0.248 0.536 0.963
P 0.963 0.248 0.536
P 0.038 0.746 0.466
P 0.746 0.466 0.038
P 0.466 0.038 0.746
W 0.857 0.857 0.857
W 0.643 0.643 0.643
W 0.357 0.357 0.357
O 0.518 0.868 0.697
O 0.868 0.697 0.518
O 0.716 0.938 0.077
O 0.697 0.518 0.868
O 0.584 0.785 0.419
O 0.371 0.974 0.239
O 0.077 0.716 0.938
O 0.419 0.584 0.785
O 0.785 0.419 0.584
O 0.010 0.774 0.638
O 0.047 0.910 0.295
O 0.774 0.638 0.010
O 0.239 0.371 0.974
O 0.938 0.077 0.716
O 0.974 0.239 0.371
O 0.211 0.569 0.448
O 0.569 0.448 0.211
O 0.910 0.295 0.047
O 0.638 0.010 0.774
O 0.448 0.211 0.569
O 0.281 0.511 0.130
O 0.295 0.047 0.910
O 0.130 0.281 0.511
O 0.511 0.130 0.281

Uncorrected energy ... -7.423 eV/atom
Symmetry ... R3 (146)

---

Record 7
A plane-wave DFT calculation with GGA+U was carried out for a relaxed MnZnP2O7 crystal.

a b c (Å): 8.573 7.126 9.238
angles (deg): 67.38 90.00 90.00
Positions (direct):
Mn 0.069 0.763 0.609
Mn 0.931 0.237 0.391
Mn 0.569 0.237 0.891
Mn 0.431 0.763 0.109
Zn 0.941 0.301 0.817
Zn 0.441 0.699 0.683
Zn 0.559 0.301 0.317
Zn 0.059 0.699 0.183
P 0.735 0.938 0.243
P 0.223 0.467 0.970
P 0.765 0.938 0.743
P 0.277 0.467 0.470
P 0.235 0.062 0.257
P 0.723 0.533 0.530
P 0.777 0.533 0.030
P 0.265 0.062 0.757
O 0.178 0.251 0.101
O 0.609 0.888 0.690
O 0.891 0.888 0.190
O 0.384 0.454 0.898
O 0.822 0.749 0.899
O 0.103 0.030 0.377
O 0.616 0.546 0.102
O 0.090 0.508 0.850
O 0.271 0.623 0.548
O 0.897 0.970 0.623
O 0.397 0.030 0.877
O 0.760 0.118 0.797
O 0.260 0.882 0.703
O 0.322 0.251 0.601
O 0.603 0.970 0.123
O 0.109 0.112 0.810
O 0.240 0.882 0.203
O 0.910 0.492 0.150
O 0.229 0.623 0.048
O 0.771 0.377 0.952
O 0.884 0.546 0.602
O 0.410 0.508 0.350
O 0.590 0.492 0.650
O 0.391 0.112 0.310
O 0.740 0.118 0.297
O 0.116 0.454 0.398
O 0.729 0.377 0.452
O 0.678 0.749 0.399

Uncorrected energy ... -6.991 eV/atom
Polymorph energy (0 for the lowest one) ... 0 meV/atom
Symmetry ... P2_1/c (14)

---

Record 8
A plane-wave DFT calculation with GGA+U was carried out for a relaxed MnZnP2O7 crystal.

a b c (Å): 7.235 10.102 8.440
angles (deg): 93.26 114.05 104.76
Positions (direct):
Mn 0.783 0.286 0.596
Mn 0.217 0.714 0.404
Mn 0.784 0.786 0.097
Mn 0.216 0.214 0.903
Zn 0.112 0.627 0.799
Zn 0.112 0.127 0.299
Zn 0.888 0.873 0.701
Zn 0.888 0.373 0.201
P 0.763 0.581 0.407
P 0.763 0.081 0.907
P 0.237 0.919 0.093
P 0.237 0.419 0.593
P 0.690 0.981 0.353
P 0.690 0.481 0.853
P 0.310 0.519 0.147
P 0.310 0.019 0.647
O 0.478 0.916 0.165
O 0.478 0.416 0.665
O 0.522 0.584 0.335
O 0.522 0.084 0.835
O 0.768 0.429 0.398
O 0.768 0.929 0.898
O 0.232 0.071 0.102
O 0.232 0.571 0.602
O 0.346 0.611 0.017
O 0.346 0.111 0.517
O 0.654 0.889 0.483
O 0.654 0.389 0.983
O 0.138 0.544 0.199
O 0.137 0.044 0.699
O 0.863 0.956 0.301
O 0.862 0.456 0.801
O 0.133 0.835 0.903
O 0.133 0.335 0.403
O 0.867 0.665 0.597
O 0.867 0.165 0.097
O 0.140 0.846 0.207
O 0.139 0.346 0.707
O 0.861 0.654 0.293
O 0.860 0.154 0.793
O 0.284 0.367 0.104
O 0.284 0.867 0.604
O 0.716 0.133 0.396
O 0.716 0.633 0.896

Uncorrected energy ... -6.967 eV/atom
Polymorph energy (0 for the lowest one) ... 25 meV/atom
Symmetry ... P-1 (2)

---

Corrected total energy (MP2020 scheme), record by record: -7.832; -8.338; -8.299; -7.772; -7.847; -8.348; -7.580; -7.555 eV/atom